Entry 1:
## Mg3Mo (GGA-PBE)

Data for an optimized crystal structure of Mg3Mo.

Calculated values
- Symmetry: Pmm2
- Calculated formation energy: 0.337 eV/atom
- ΔE to the lowest computed polymorph: 31 meV per atom

POSCAR file:
```
Mg3Mo
1.0
2.873 0.000 0.000
0.000 4.905 0.000
0.000 0.000 5.421
Mg Mo
3 1
Cartesian
0.000 0.000 0.000
0.000 2.452 1.789
1.437 0.000 2.932
1.437 2.452 4.496
```

=====

Entry 2:
## Mg3MoN4 (GGA-PBE)

Data for an optimized crystal structure of Mg3MoN4.

Calculated values
- Symmetry: P31c
- Calculated formation energy: -0.772 eV/atom
- ΔE to the lowest computed polymorph: 212 meV per atom

POSCAR file:
```
Mg3MoN4
1.0
15.950 0.000 0.000
-7.975 13.813 0.000
0.000 0.000 8.978
Mg Mo N
54 18 72
Cartesian
0.000 0.000 1.049
0.000 0.000 5.538
-5.194 9.261 2.468
-2.228 4.701 4.387
-5.660 11.831 4.247
-0.437 3.393 7.180
-2.427 7.293 6.273
-2.569 7.716 3.469
0.559 2.996 4.247
-4.818 12.494 7.180
-0.182 6.183 1.552
-2.723 10.687 7.836
2.315 1.982 8.736
0.081 6.111 7.836
-2.529 10.879 1.552
3.157 1.319 2.691
-2.790 13.392 4.387
2.552 4.684 2.468
0.000 9.209 0.000
0.000 9.209 4.816
2.781 4.552 6.956
5.185 0.421 8.876
-0.445 12.268 6.273
-0.008 12.179 3.469
2.577 7.730 3.469
5.252 3.126 3.347
5.446 2.934 6.041
2.872 8.064 6.273
7.530 1.545 1.784
2.711 10.564 1.552
2.642 10.827 7.836
7.967 1.633 7.958
5.406 6.097 7.958
5.548 6.519 1.784
5.018 9.533 4.387
2.642 13.680 2.468
7.975 4.604 0.327
7.975 4.604 4.489
10.617 0.132 6.956
5.746 9.112 8.876
5.254 11.738 7.180
7.793 7.629 6.041
10.617 2.985 3.347
5.101 12.799 4.247
8.056 7.702 3.347
10.686 3.249 6.041
7.538 10.419 2.691
13.076 1.014 8.736
10.552 6.083 7.958
10.847 5.749 1.784
13.229 2.075 2.691
8.533 10.817 8.736
12.993 4.280 8.876
10.526 9.128 6.956
-0.222 3.094 1.481
-2.848 7.822 0.227
-5.185 12.458 1.481
-2.823 10.516 4.742
2.790 1.355 5.970
0.279 6.110 4.742
2.625 7.435 0.227
5.152 3.297 0.253
0.223 12.369 0.227
5.127 5.991 4.716
2.544 11.000 4.742
8.198 1.444 4.716
10.519 2.813 0.253
5.406 12.074 1.481
8.254 7.703 0.253
7.753 10.719 5.970
10.600 6.378 4.716
13.381 1.739 5.970
-6.391 11.113 2.164
-3.513 6.287 4.781
-0.871 1.769 5.224
-1.203 3.537 2.970
-4.545 10.079 4.348
-3.436 8.697 7.662
-3.200 8.833 1.773
-6.007 13.683 5.224
1.967 0.130 0.735
-0.360 4.494 0.177
-0.884 5.447 6.154
-0.958 6.428 3.376
-3.903 11.878 0.177
1.546 2.722 2.164
1.584 2.700 6.653
-1.923 8.891 5.097
-4.310 13.087 2.970
-0.971 7.469 0.017
-2.815 11.855 6.154
3.664 0.726 7.459
1.518 4.837 4.348
-1.929 11.428 3.376
4.072 1.935 4.666
-1.021 10.919 0.017
3.430 3.734 8.837
1.237 7.702 5.097
1.926 6.625 1.773
2.161 6.488 7.662
5.159 1.958 1.665
0.686 11.033 5.097
-0.773 13.712 4.781
7.202 0.101 0.293
1.992 9.238 0.017
6.046 2.385 7.865
4.538 5.116 3.173
4.774 4.980 6.262
1.275 12.168 1.773
1.275 12.440 7.662
2.887 9.769 3.376
6.953 2.894 4.506
4.287 7.626 4.781
4.461 7.525 0.293
6.052 4.922 0.608
3.699 10.324 6.154
9.250 1.373 3.173
9.249 1.645 6.262
8.661 2.780 0.608
3.027 12.709 4.348
7.004 6.344 4.506
4.263 11.254 0.177
7.017 7.385 7.865
11.001 1.104 8.837
5.514 11.002 2.970
7.091 8.366 1.665
9.967 4.575 4.506
6.771 10.276 7.459
9.211 6.111 0.608
4.845 13.791 2.164
12.820 0.022 6.653
7.615 9.319 4.666
10.862 4.043 7.865
11.674 3.489 1.665
12.238 2.559 4.666
6.878 12.174 5.224
9.901 7.188 6.262
7.104 12.044 0.735
10.136 7.325 3.173
9.493 8.976 8.837
13.489 2.810 7.459
14.853 1.639 0.735
12.261 6.186 0.293
9.521 11.091 6.653
```

=====

Entry 3:
## Mg3MoN4 (GGA-PBE)

Data for an optimized crystal structure of Mg3MoN4.

Calculated values
- Symmetry: P-1
- Calculated formation energy: -0.881 eV/atom
- ΔE to the lowest computed polymorph: 103 meV per atom

POSCAR file:
```
Mg3MoN4
1.0
5.336 0.000 0.000
1.798 5.872 0.000
1.652 2.703 5.358
Mg Mo N
6 2 8
Cartesian
2.081 1.758 1.894
3.063 4.704 1.943
3.953 6.021 4.703
4.833 2.555 0.655
5.723 3.872 3.415
6.705 6.817 3.464
2.998 3.077 4.375
5.788 5.498 0.983
2.228 4.844 4.083
1.381 2.060 4.025
3.900 2.832 2.754
3.079 1.340 0.006
5.707 7.235 5.352
4.886 5.743 2.604
7.405 6.516 1.333
6.558 3.731 1.275
```

=====

Entry 4:
## Mg3MoN4 (GGA-PBE)

Data for an optimized crystal structure of Mg3MoN4.

Calculated values
- Symmetry: Pmn2_1
- Calculated formation energy: -0.984 eV/atom
- Largest piezoelectric modulus: 2.4 C/m2
- ΔE to the lowest computed polymorph: 0 meV per atom

POSCAR file:
```
Mg3MoN4
1.0
6.776 0.000 0.000
0.000 5.859 0.000
0.000 0.000 5.290
Mg Mo N
6 2 8
Cartesian
0.000 0.942 0.000
1.679 1.938 2.640
1.709 3.921 5.285
3.388 4.918 2.645
5.067 3.921 5.285
5.097 1.938 2.640
0.000 4.858 2.599
3.388 1.001 5.244
0.000 0.794 3.165
0.000 4.842 0.735
1.566 3.967 3.168
1.822 1.893 0.523
3.388 1.017 3.380
3.388 5.065 0.520
4.954 1.893 0.523
5.210 3.967 3.168
```

=====

Entry 5:
## Mg3MoN4 (GGA-PBE)

Data for an optimized crystal structure of Mg3MoN4.

Calculated values
- Symmetry: C2/m
- Calculated formation energy: -0.949 eV/atom
- ΔE to the lowest computed polymorph: 36 meV per atom

POSCAR file:
```
Mg3MoN4
1.0
4.604 -3.586 0.000
4.604 3.586 0.000
-0.068 0.000 6.070
Mg Mo N
6 2 8
Cartesian
1.027 0.000 1.966
3.511 1.665 1.023
5.629 1.665 5.047
3.511 -1.665 1.023
5.629 -1.665 5.047
8.113 0.000 4.104
2.995 0.000 4.068
6.145 0.000 2.002
1.091 0.000 4.143
3.413 1.611 4.976
3.255 0.000 2.227
5.727 1.611 1.094
3.413 -1.611 4.976
5.886 0.000 3.843
5.727 -1.611 1.094
8.049 0.000 1.928
```

=====

Entry 6:
## NaMg14Mo (GGA-PBE)

Data for an optimized crystal structure of NaMg14Mo.

Calculated values
- Symmetry: Amm2
- Calculated formation energy: 0.157 eV/atom
- ΔE to the lowest computed polymorph: 17 meV per atom

POSCAR file:
```
NaMg14Mo
1.0
10.021 0.000 0.000
0.000 3.263 5.446
0.000 -3.263 5.446
Na Mg Mo
1 14 1
Cartesian
0.000 0.000 0.000
0.000 -1.627 8.170
0.000 1.627 8.170
2.394 0.000 7.208
2.425 -1.555 4.585
2.425 1.555 4.585
2.550 0.000 1.856
5.011 0.000 5.443
5.011 -1.610 8.175
5.011 1.610 8.175
5.011 0.000 10.871
7.471 0.000 1.856
7.597 -1.555 4.585
7.597 1.555 4.585
7.627 0.000 7.208
0.000 0.000 5.373
```

=====

Repeat the third record exactly.
## Mg3MoN4 (GGA-PBE)

Data for an optimized crystal structure of Mg3MoN4.

Calculated values
- Symmetry: P-1
- Calculated formation energy: -0.881 eV/atom
- ΔE to the lowest computed polymorph: 103 meV per atom

POSCAR file:
```
Mg3MoN4
1.0
5.336 0.000 0.000
1.798 5.872 0.000
1.652 2.703 5.358
Mg Mo N
6 2 8
Cartesian
2.081 1.758 1.894
3.063 4.704 1.943
3.953 6.021 4.703
4.833 2.555 0.655
5.723 3.872 3.415
6.705 6.817 3.464
2.998 3.077 4.375
5.788 5.498 0.983
2.228 4.844 4.083
1.381 2.060 4.025
3.900 2.832 2.754
3.079 1.340 0.006
5.707 7.235 5.352
4.886 5.743 2.604
7.405 6.516 1.333
6.558 3.731 1.275
```